(1)
Entry from the Materials Project: a relaxed Ca2GeO4 crystal (PBE).

Cell and atoms, written as POSCAR:
```
Ca2GeO4
1.0
-0.4957 0.0030 -5.7820
-1.0740 -4.8490 3.0018
-6.5930 1.8108 0.5661
O Ca Ge
8 4 2
direct
0.6541 0.8271 0.2961 O
0.3459 0.1729 0.7039 O
0.1729 0.3459 0.2961 O
0.3333 0.6667 0.9380 O
0.8271 0.6541 0.7039 O
0.1729 0.8271 0.2961 O
0.8271 0.1729 0.7039 O
0.6667 0.3333 0.0620 O
0.0000 0.0000 0.0000 Ca
0.3333 0.6667 0.6346 Ca
0.0000 0.0000 0.5000 Ca
0.6667 0.3333 0.3654 Ca
0.6667 0.3333 0.8123 Ge
0.3333 0.6667 0.1877 Ge
```

raw total energy: -6.469 eV/atom
DFT formation energy: -2.80 eV per atom
volume: 14.29 Å³/atom
crystal system: trigonal

=====

(2)
Entry from the Materials Project: a relaxed Sr3CdO4 crystal (PBE).

Cell and atoms, written as POSCAR:
```
Sr3CdO4
1.0
5.1097 0.0000 0.0000
0.0000 5.1097 0.0000
0.0000 0.0000 5.1097
Sr O Cd
3 4 1
direct
0.0000 0.5000 0.5000 Sr
0.5000 0.0000 0.5000 Sr
0.5000 0.5000 0.0000 Sr
0.5000 0.0000 0.0000 O
0.0000 0.0000 0.5000 O
0.0000 0.5000 0.0000 O
0.5000 0.5000 0.5000 O
0.0000 0.0000 0.0000 Cd
```

raw total energy: -5.510 eV/atom
DFT formation energy: -2.63 eV per atom
volume: 16.68 Å³/atom
crystal system: cubic

=====

(3)
Entry from the Materials Project: a relaxed CdP2O8 crystal (PBE).

Cell and atoms, written as POSCAR:
```
CdP2O8
1.0
0.4997 4.2025 11.5645
-9.6328 2.7798 -7.1506
-2.6166 -4.5362 1.7615
O Cd P
24 3 6
direct
0.7733 0.4605 0.5514 O
0.7351 0.1125 0.9903 O
0.1589 0.6453 0.7759 O
0.9126 0.3761 0.6720 O
0.8875 0.6226 0.9903 O
0.1125 0.3774 0.0097 O
0.6872 0.2267 0.5514 O
0.4635 0.0874 0.6720 O
0.5365 0.9126 0.3280 O
0.3761 0.4635 0.3280 O
0.8411 0.3547 0.2241 O
0.3547 0.5136 0.7759 O
0.6239 0.5365 0.6720 O
0.2267 0.5395 0.4486 O
0.3774 0.2649 0.9903 O
0.0874 0.6239 0.3280 O
0.3128 0.7733 0.4486 O
0.2649 0.8875 0.0097 O
0.6453 0.4864 0.2241 O
0.4605 0.6872 0.4486 O
0.6226 0.7351 0.0097 O
0.5136 0.1589 0.2241 O
0.5395 0.3128 0.5514 O
0.4864 0.8411 0.7759 O
0.5000 0.0000 0.0000 Cd
0.0000 0.5000 0.0000 Cd
0.5000 0.5000 0.0000 Cd
0.5422 0.1856 0.4911 P
0.4578 0.8144 0.5089 P
0.1856 0.6434 0.5089 P
0.3566 0.5422 0.5089 P
0.6434 0.4578 0.4911 P
0.8144 0.3566 0.4911 P
```

raw total energy: -5.753 eV/atom
DFT formation energy: -1.59 eV per atom
volume: 21.99 Å³/atom
crystal system: trigonal

=====

(4)
Entry from the Materials Project: a relaxed MgSi crystal (PBE).

Cell and atoms, written as POSCAR:
```
MgSi
1.0
4.7083 0.0000 0.0000
1.2555 5.4592 0.0000
1.3534 1.1899 8.5428
Si Mg
6 6
direct
0.1252 0.8894 0.0247 Si
0.5648 0.6090 0.8936 Si
0.1308 0.5251 0.4013 Si
0.5754 0.9311 0.6437 Si
0.0655 0.7618 0.7635 Si
0.5383 0.2614 0.2610 Si
0.0931 0.2673 0.7404 Mg
0.5858 0.4584 0.5689 Mg
0.5950 0.1050 0.9388 Mg
0.0545 0.0269 0.4241 Mg
0.6203 0.7673 0.2507 Mg
0.0514 0.3972 0.0890 Mg
```

raw total energy: -3.390 eV/atom
DFT formation energy: 0.16 eV per atom
volume: 18.30 Å³/atom
crystal system: triclinic

=====

(5)
Entry from the Materials Project: a relaxed Na2SnHg crystal (PBE).

Cell and atoms, written as POSCAR:
```
Na2SnHg
1.0
-2.9918 -0.0083 4.2794
-2.8258 4.2184 1.2181
-5.2006 -0.1220 -0.4505
Hg Sn Na
1 1 2
direct
0.2500 0.2500 0.2500 Hg
0.0000 0.0000 0.0000 Sn
0.7500 0.7500 0.7500 Na
0.5000 0.5000 0.5000 Na
```

raw total energy: -1.943 eV/atom
DFT formation energy: -0.20 eV per atom
volume: 25.17 Å³/atom
crystal system: cubic

=====

(6)
Entry from the Materials Project: a relaxed Cs4Re6Se13 crystal (PBE).

Cell and atoms, written as POSCAR:
```
Cs4Re6Se13
1.0
-7.6338 -6.0495 3.9556
9.0873 -4.2877 -3.0909
5.7054 -0.8496 13.3264
Se Cs Re
26 8 12
direct
0.9913 0.3442 0.6953 Se
0.9883 0.3038 0.3474 Se
0.4615 0.2791 0.9926 Se
0.7297 0.3653 0.1665 Se
0.3038 0.9883 0.8474 Se
0.9730 0.0513 0.5681 Se
0.5385 0.7209 0.0074 Se
0.3653 0.7297 0.6665 Se
0.6962 0.0117 0.1526 Se
0.2703 0.6347 0.8335 Se
0.0513 0.9730 0.0681 Se
0.1857 0.7097 0.0542 Se
0.7097 0.1857 0.5542 Se
0.2791 0.4615 0.4926 Se
0.7209 0.5385 0.5074 Se
0.9487 0.0270 0.9319 Se
0.0117 0.6962 0.6526 Se
0.3614 0.6386 0.2500 Se
0.6347 0.2703 0.3335 Se
0.2903 0.8143 0.4458 Se
0.6558 0.0087 0.8047 Se
0.8143 0.2903 0.9458 Se
0.0087 0.6558 0.3047 Se
0.6386 0.3614 0.7500 Se
0.3442 0.9913 0.1953 Se
0.0270 0.9487 0.4319 Se
0.2780 0.3176 0.7778 Cs
0.3396 0.1001 0.5816 Cs
0.7220 0.6824 0.2222 Cs
0.6604 0.8999 0.4184 Cs
0.6824 0.7220 0.7222 Cs
0.3176 0.2780 0.2778 Cs
0.1001 0.3396 0.0816 Cs
0.8999 0.6604 0.9184 Cs
0.5619 0.1479 0.8932 Re
0.4381 0.8521 0.1068 Re
0.6848 0.0076 0.9783 Re
0.8502 0.4181 0.4255 Re
0.1479 0.5619 0.3932 Re
0.5819 0.1498 0.0745 Re
0.4181 0.8502 0.9255 Re
0.0076 0.6848 0.4783 Re
0.3152 0.9924 0.0217 Re
0.8521 0.4381 0.6068 Re
0.9924 0.3152 0.5217 Re
0.1498 0.5819 0.5745 Re
```

raw total energy: -6.044 eV/atom
DFT formation energy: -0.93 eV per atom
volume: 29.60 Å³/atom
crystal system: monoclinic

=====

(7)
Entry from the Materials Project: a relaxed Y5Mg16Cu5 crystal (PBE).

Cell and atoms, written as POSCAR:
```
Y5Mg16Cu5
1.0
2.0768 -9.5460 0.0000
2.0768 9.5460 0.0000
0.0000 0.0000 28.8928
Mg Y Cu
32 10 10
direct
0.8383 0.1617 0.5703 Mg
0.7783 0.2217 0.4094 Mg
0.6915 0.3085 0.5113 Mg
0.5467 0.4533 0.0460 Mg
0.7568 0.2432 0.6682 Mg
0.2432 0.7568 0.1682 Mg
0.1220 0.8780 0.2500 Mg
0.2659 0.7341 0.7500 Mg
0.9819 0.0181 0.3041 Mg
0.3085 0.6915 0.0113 Mg
0.3085 0.6915 0.4887 Mg
0.7568 0.2432 0.8318 Mg
0.9252 0.0748 0.4677 Mg
0.2432 0.7568 0.3318 Mg
0.0748 0.9252 0.5323 Mg
0.8780 0.1220 0.7500 Mg
0.7783 0.2217 0.0906 Mg
0.0181 0.9819 0.6959 Mg
0.1617 0.8383 0.0703 Mg
0.9252 0.0748 0.0323 Mg
0.7341 0.2659 0.2500 Mg
0.9819 0.0181 0.1959 Mg
0.8383 0.1617 0.9297 Mg
0.0748 0.9252 0.9677 Mg
0.6915 0.3085 0.9887 Mg
0.4533 0.5467 0.9540 Mg
0.2217 0.7783 0.5906 Mg
0.1617 0.8383 0.4297 Mg
0.4533 0.5467 0.5460 Mg
0.5467 0.4533 0.4540 Mg
0.2217 0.7783 0.9094 Mg
0.0181 0.9819 0.8041 Mg
0.6275 0.3725 0.7500 Y
0.3725 0.6275 0.2500 Y
0.3960 0.6040 0.6567 Y
0.4122 0.5878 0.1228 Y
0.3960 0.6040 0.8433 Y
0.5878 0.4122 0.6228 Y
0.6040 0.3960 0.1567 Y
0.6040 0.3960 0.3433 Y
0.5878 0.4122 0.8772 Y
0.4122 0.5878 0.3772 Y
0.1653 0.8347 0.6791 Cu
0.4714 0.5286 0.7500 Cu
0.0246 0.9754 0.3958 Cu
0.1653 0.8347 0.8209 Cu
0.9754 0.0246 0.6042 Cu
0.0246 0.9754 0.1042 Cu
0.8347 0.1653 0.1791 Cu
0.9754 0.0246 0.8958 Cu
0.8347 0.1653 0.3209 Cu
0.5286 0.4714 0.2500 Cu
```

raw total energy: -3.167 eV/atom
DFT formation energy: -0.15 eV per atom
volume: 22.03 Å³/atom
crystal system: orthorhombic

=====

(8)
Entry from the Materials Project: a relaxed CaAl2H12C2O14 crystal (PBE).

Cell and atoms, written as POSCAR:
```
CaAl2H12C2O14
1.0
-4.0946 2.2643 -3.2871
-4.8225 -3.2709 3.0344
-3.9213 10.4686 9.3384
O C H Ca Al
28 4 24 2 4
direct
0.2917 0.9984 0.7744 O
0.7083 0.0016 0.2256 O
0.5375 0.2286 0.0685 O
0.9338 0.2283 0.0738 O
0.0255 0.8452 0.6647 O
0.7427 0.7269 0.1029 O
0.2573 0.2731 0.8971 O
0.0662 0.7717 0.9262 O
0.8083 0.6104 0.8066 O
0.4472 0.4421 0.6267 O
0.2143 0.7349 0.0625 O
0.6308 0.8488 0.6621 O
0.1917 0.3896 0.1934 O
0.1245 0.2007 0.4657 O
0.2200 0.0016 0.1928 O
0.8755 0.7993 0.5343 O
0.3171 0.6173 0.7802 O
0.0681 0.6969 0.3337 O
0.6829 0.3827 0.2198 O
0.9319 0.3031 0.6663 O
0.3492 0.8034 0.5078 O
0.5528 0.5579 0.3733 O
0.3692 0.1512 0.3379 O
0.9745 0.1548 0.3353 O
0.4625 0.7714 0.9315 O
0.7800 0.9984 0.8072 O
0.7857 0.2651 0.9375 O
0.6508 0.1966 0.4922 O
0.7514 0.2409 0.0269 C
0.8420 0.8299 0.6197 C
0.1580 0.1701 0.3803 C
0.2486 0.7591 0.9731 C
0.2805 0.1035 0.8188 H
0.9141 0.7299 0.0782 H
0.5991 0.4918 0.3146 H
0.7195 0.8965 0.1812 H
0.6952 0.5094 0.1726 H
0.9469 0.4218 0.6993 H
0.4009 0.5082 0.6854 H
0.8639 0.1979 0.7169 H
0.0531 0.5782 0.3007 H
0.6198 0.4184 0.6232 H
0.2063 0.4997 0.1397 H
0.0859 0.2701 0.9218 H
0.3802 0.5816 0.3768 H
0.1361 0.8021 0.2831 H
0.8254 0.2030 0.4932 H
0.6080 0.3227 0.4501 H
0.7937 0.5003 0.8603 H
0.1746 0.7970 0.5068 H
0.7617 0.0724 0.8628 H
0.3494 0.2525 0.9513 H
0.3048 0.4906 0.8274 H
0.3920 0.6773 0.5499 H
0.6506 0.7475 0.0487 H
0.2383 0.9276 0.1372 H
0.6852 0.8931 0.3958 Ca
0.3148 0.1069 0.6042 Ca
0.4513 0.1960 0.2013 Al
0.9541 0.1967 0.2019 Al
0.5487 0.8040 0.7987 Al
0.0459 0.8033 0.7981 Al
```

raw total energy: -6.044 eV/atom
DFT formation energy: -1.90 eV per atom
volume: 8.68 Å³/atom
crystal system: triclinic

=====

Q: What is the formula in the second record?
A: Sr3CdO4

=====

Q: Among the records above, which one has the lowest volume?
A: CaAl2H12C2O14

=====

Q: What is the formula in the second record?
A: Sr3CdO4

=====

Q: Which of these has the lowest volume?
A: CaAl2H12C2O14